<w>
# Li5BiS4

A geometry-optimized Li5BiS4 structure (PBE, Materials Project).

Cell lengths 7.909, 7.909, 7.909 Å; angles 151.10, 125.60, 62.77 degrees
Sites, in units of the cell vectors:
Li 0.000 0.000 0.000
Li 0.115 0.320 0.795
Li 0.475 0.680 0.795
Li 0.525 0.320 0.205
Li 0.885 0.680 0.205
Bi 0.500 0.000 0.500
S 0.225 0.500 0.725
S 0.286 0.786 0.500
S 0.714 0.214 0.500
S 0.775 0.500 0.275

<x>
# Li5BiS4

A geometry-optimized Li5BiS4 structure (PBE, Materials Project).

Cell lengths 7.842, 9.227, 5.781 Å; angles 90.00, 90.00, 90.00 degrees
Sites, in units of the cell vectors:
Li 0.013 0.048 0.242
Li 0.013 0.452 0.242
Li 0.250 0.750 0.233
Li 0.487 0.048 0.242
Li 0.487 0.452 0.242
Li 0.513 0.548 0.758
Li 0.513 0.952 0.758
Li 0.750 0.250 0.767
Li 0.987 0.548 0.758
Li 0.987 0.952 0.758
Bi 0.250 0.250 0.809
Bi 0.750 0.750 0.191
S 0.000 0.250 0.517
S 0.000 0.750 0.483
S 0.250 0.531 0.990
S 0.250 0.969 0.990
S 0.500 0.250 0.517
S 0.500 0.750 0.483
S 0.750 0.031 0.010
S 0.750 0.469 0.010

<y>
# Li5BiS4

A geometry-optimized Li5BiS4 structure (PBE, Materials Project).

Cell lengths 7.367, 7.367, 7.793 Å; angles 90.00, 90.00, 117.41 degrees
Sites, in units of the cell vectors:
Li 0.119 0.239 0.395
Li 0.142 0.858 0.500
Li 0.162 0.420 0.683
Li 0.239 0.119 0.895
Li 0.420 0.162 0.183
Li 0.580 0.838 0.683
Li 0.761 0.881 0.395
Li 0.838 0.580 0.183
Li 0.858 0.142 0.000
Li 0.881 0.761 0.895
Bi 0.332 0.668 0.114
Bi 0.668 0.332 0.614
S 0.006 0.501 0.928
S 0.022 0.978 0.169
S 0.478 0.522 0.486
S 0.499 0.994 0.928
S 0.501 0.006 0.428
S 0.522 0.478 0.986
S 0.978 0.022 0.669
S 0.994 0.499 0.428

Most stable of them? <w>.